[1]
Entry from the Materials Project: crystalline EuMn2Sb2 at its relaxed geometry (GGA-PBE).

Cell: 4.4881 4.4881 7.7429 Å, 90.00 90.00 120.00°
Last column: nearest neighbours and their distance in Å.
Atoms (fractional coordinates):
Eu 0.0000 0.0000 0.0000  6 Sb 3.28
Mn 0.6667 0.3333 0.6176  4 Sb 2.76-2.77
Mn 0.3333 0.6667 0.3824  4 Sb 2.76-2.77
Sb 0.6667 0.3333 0.2598  4 Mn 2.76-2.77
Sb 0.3333 0.6667 0.7402  4 Mn 2.76-2.77

Summary:
spin magnetization	15.6	μB per cell
energy with MP2020 corrections	-7.669	eV/atom
formation energy	-301	meV per atom

[2]
Entry from the Materials Project: crystalline EuMo6S8 at its relaxed geometry (GGA-PBE).

Cell: 6.5757 6.5757 6.5757 Å, 89.10 89.10 89.10°
Last column: nearest neighbours and their distance in Å.
Atoms (fractional coordinates):
Eu 0.0000 0.0000 0.0000  8 S 2.81-3.11
Mo 0.7738 0.5817 0.4384  5 S 2.41-2.59, 2 Mo 2.69
Mo 0.4384 0.7738 0.5817  5 S 2.41-2.59, 2 Mo 2.69
Mo 0.5817 0.4384 0.7738  5 S 2.41-2.59, 2 Mo 2.69
Mo 0.2262 0.4183 0.5616  5 S 2.41-2.59, 2 Mo 2.69
Mo 0.5616 0.2262 0.4183  5 S 2.41-2.59, 2 Mo 2.69
Mo 0.4183 0.5616 0.2262  5 S 2.41-2.59, 2 Mo 2.69
S 0.7568 0.7568 0.7568  3 Mo 2.41
S 0.2432 0.2432 0.2432  3 Mo 2.41
S 0.8731 0.2557 0.6204  4 Mo 2.46-2.59
S 0.6204 0.8731 0.2557  4 Mo 2.46-2.59
S 0.2557 0.6204 0.8731  4 Mo 2.46-2.59
S 0.1269 0.7443 0.3796  4 Mo 2.46-2.59
S 0.3796 0.1269 0.7443  4 Mo 2.46-2.59
S 0.7443 0.3796 0.1269  4 Mo 2.46-2.59

Summary:
energy with MP2020 corrections	-8.392	eV/atom
formation energy	-1164	meV per atom